# ErCrHO5 GGA+U relaxed
data_ErCrHO5
_chemical_formula_sum 'Er8 Cr8 H8 O40'
_symmetry_space_group_name_H-M 'P 1 21/c 1'
_symmetry_Int_Tables_number 14
_cell_length_a 8.202
_cell_length_b 11.590
_cell_length_c 11.270
_cell_angle_alpha 90.00
_cell_angle_beta 133.14
_cell_angle_gamma 90.00
loop_
_symmetry_equiv_pos_as_xyz
'x,y,z'
'-x,-y,-z'
'-x,y+1/2,-z+1/2'
'x,-y+1/2,z+1/2'
loop_
_atom_site_label
_atom_site_type_symbol
_atom_site_fract_x
_atom_site_fract_y
_atom_site_fract_z
Er1 Er 0.214 0.062 0.348
Er2 Er 0.261 0.577 0.177
Cr1 Cr 0.133 0.171 0.001
Cr2 Cr 0.406 0.687 0.541
H1 H 0.067 0.104 0.676
H2 H 0.441 0.573 0.804
O1 O 0.030 0.543 0.902
O2 O 0.056 0.585 0.657
O3 O 0.093 0.190 0.438
O4 O 0.128 0.166 0.145
O5 O 0.213 0.619 0.361
O6 O 0.298 0.742 0.611
O7 O 0.384 0.127 0.085
O8 O 0.395 0.095 0.821
O9 O 0.482 0.005 0.624
O10 O 0.490 0.203 0.484
# - crystal system = monoclinic
# - calculated formation energy (eV/atom) = -2.389
# - volume (Å³/atom) = 12.22
# - total magnetic moment (μB per cell) = 0.00